Record 1
The following is a DFT calculation (PBE-GGA) of a relaxed RbScP2O8 crystal.

Results
Calculated formation energy: -2.7124 eV/atom
Energy: -339.1 eV per cell

a b c (Å): 9.167 5.401 15.394
angles (deg): 86.55 90.00 90.00
Positions (direct):
Rb 0.019 0.735 0.612
Rb 0.519 0.265 0.888
Rb 0.981 0.265 0.388
Rb 0.481 0.735 0.112
Sc 0.542 0.739 0.653
Sc 0.042 0.261 0.847
Sc 0.458 0.261 0.347
Sc 0.958 0.739 0.153
P 0.336 0.266 0.566
P 0.836 0.734 0.934
P 0.664 0.734 0.434
P 0.164 0.266 0.066
P 0.263 0.778 0.816
P 0.763 0.222 0.684
P 0.737 0.222 0.184
P 0.237 0.778 0.316
O 0.435 0.059 0.606
O 0.935 0.941 0.894
O 0.565 0.941 0.394
O 0.065 0.059 0.106
O 0.342 0.266 0.465
O 0.842 0.734 0.035
O 0.658 0.734 0.535
O 0.158 0.266 0.965
O 0.385 0.524 0.593
O 0.885 0.476 0.907
O 0.615 0.476 0.407
O 0.115 0.524 0.093
O 0.677 0.780 0.907
O 0.177 0.220 0.593
O 0.323 0.220 0.093
O 0.823 0.780 0.407
O 0.401 0.728 0.760
O 0.901 0.272 0.740
O 0.599 0.272 0.240
O 0.099 0.728 0.260
O 0.147 0.582 0.798
O 0.647 0.418 0.702
O 0.853 0.418 0.202
O 0.353 0.582 0.298
O 0.204 0.042 0.794
O 0.704 0.958 0.706
O 0.796 0.958 0.206
O 0.296 0.042 0.294
O 0.326 0.756 0.910
O 0.826 0.244 0.590
O 0.674 0.244 0.090
O 0.174 0.756 0.410

=====

Record 2
The following is a DFT calculation (PBE-GGA) of a relaxed CrN2 crystal.

Results
Calculated formation energy: -0.0831 eV/atom
Energy: -413.7 eV per cell

a b c (Å): 8.268 12.518 12.518
angles (deg): 72.56 80.63 80.63
Positions (direct):
Cr 0.302 0.601 0.375
Cr 0.302 0.375 0.601
Cr 0.698 0.399 0.625
Cr 0.698 0.625 0.399
Cr 0.097 0.761 0.534
Cr 0.097 0.534 0.761
Cr 0.903 0.239 0.466
Cr 0.903 0.466 0.239
Cr 0.624 0.363 0.138
Cr 0.624 0.138 0.363
Cr 0.376 0.637 0.862
Cr 0.376 0.862 0.637
Cr 0.273 0.543 0.136
Cr 0.273 0.136 0.543
Cr 0.727 0.457 0.864
Cr 0.727 0.864 0.457
N 0.175 0.704 0.425
N 0.175 0.425 0.704
N 0.825 0.296 0.575
N 0.825 0.575 0.296
N 0.276 0.608 0.238
N 0.276 0.238 0.608
N 0.724 0.392 0.762
N 0.724 0.762 0.392
N 0.920 0.852 0.499
N 0.920 0.499 0.852
N 0.080 0.148 0.501
N 0.080 0.501 0.148
N 0.500 0.628 0.372
N 0.500 0.372 0.628
N 0.425 0.429 0.155
N 0.425 0.155 0.429
N 0.575 0.571 0.845
N 0.575 0.845 0.571
N 0.249 0.827 0.560
N 0.249 0.560 0.827
N 0.751 0.173 0.440
N 0.751 0.440 0.173
N 0.277 0.471 0.471
N 0.723 0.529 0.529
N 0.679 0.368 0.997
N 0.679 0.997 0.368
N 0.321 0.632 0.003
N 0.321 0.003 0.632
N 0.052 0.654 0.654
N 0.948 0.346 0.346
N 0.639 0.226 0.226
N 0.361 0.774 0.774

=====

Record 3
The following is a DFT calculation (PBE-GGA) of a relaxed Ti4ZnO8 crystal.

Results
Calculated formation energy: -3.0981 eV/atom
Energy: -107.2 eV per cell

a b c (Å): 7.389 7.389 10.004
angles (deg): 48.66 48.66 23.07
Positions (direct):
Ti 0.369 0.369 0.439
Ti 0.853 0.853 0.786
Ti 0.176 0.176 0.150
Ti 0.658 0.658 0.496
Zn 0.553 0.553 0.931
O 0.159 0.159 0.363
O 0.551 0.551 0.247
O 0.475 0.475 0.694
O 0.864 0.864 0.579
O 0.849 0.849 0.334
O 0.229 0.229 0.903
O 0.177 0.177 0.607
O 0.794 0.794 0.039

=====

Record 4
The following is a DFT calculation (PBE-GGA) of a relaxed Zr2Fe crystal.

Results
Calculated formation energy: -0.1391 eV/atom
Energy: -52.0 eV per cell

a b c (Å): 5.285 5.285 5.285
angles (deg): 107.13 107.13 114.26
Positions (direct):
Zr 0.178 0.322 0.500
Zr 0.822 0.678 0.500
Zr 0.678 0.178 0.857
Zr 0.322 0.822 0.143
Fe 0.750 0.750 0.000
Fe 0.250 0.250 0.000

=====

Record 5
The following is a DFT calculation (PBE-GGA) of a relaxed MgRe2Sb2O12 crystal.

Results
Calculated formation energy: -1.9803 eV/atom
Energy: -119.5 eV per cell

a b c (Å): 5.267 5.340 7.466
angles (deg): 90.00 90.00 90.13
Positions (direct):
Mg 0.518 0.566 0.750
Re 0.499 0.007 0.495
Re 0.499 0.007 0.005
Sb 0.003 0.504 0.495
Sb 0.003 0.504 0.005
O 0.322 0.698 0.455
O 0.206 0.190 0.052
O 0.685 0.309 0.935
O 0.784 0.796 0.564
O 0.206 0.190 0.448
O 0.784 0.796 0.936
O 0.880 0.522 0.250
O 0.322 0.698 0.045
O 0.413 0.973 0.750
O 0.685 0.309 0.565
O 0.137 0.483 0.750
O 0.592 0.023 0.250

=====

Record 6
The following is a DFT calculation (PBE-GGA) of a relaxed Pr2MgSe4 crystal.

Results
Calculated formation energy: -1.9010 eV/atom
Energy: -73.1 eV per cell

a b c (Å): 7.733 7.733 7.733
angles (deg): 110.96 110.96 106.54
Positions (direct):
Pr 0.875 0.754 0.379
Pr 0.504 0.125 0.879
Pr 0.375 0.496 0.621
Pr 0.246 0.625 0.121
Mg 0.000 0.000 0.000
Mg 0.750 0.250 0.500
Se 0.506 0.376 0.267
Se 0.761 0.494 0.870
Se 0.109 0.239 0.733
Se 0.624 0.891 0.130
Se 0.244 0.011 0.370
Se 0.989 0.359 0.233
Se 0.641 0.874 0.630
Se 0.126 0.756 0.767

=====

Record 7
The following is a DFT calculation (PBE-GGA) of a relaxed Tl3IrN6O12 crystal.

Results
Calculated formation energy: 1.0092 eV/atom
Energy: -101.2 eV per cell

a b c (Å): 7.611 7.611 7.611
angles (deg): 60.00 60.00 60.00
Positions (direct):
Tl 0.750 0.750 0.750
Tl 0.250 0.250 0.250
Tl 0.500 0.500 0.500
Ir 0.000 0.000 0.000
N 0.187 0.187 0.813
N 0.813 0.187 0.813
N 0.813 0.813 0.187
N 0.813 0.187 0.187
N 0.187 0.813 0.187
N 0.187 0.813 0.813
O 0.586 0.414 0.000
O 0.586 0.000 0.414
O 0.586 0.000 0.000
O 0.000 0.000 0.586
O 0.414 0.000 0.000
O 0.414 0.000 0.586
O 0.000 0.414 0.000
O 0.000 0.000 0.414
O 0.414 0.586 0.000
O 0.000 0.586 0.414
O 0.000 0.414 0.586
O 0.000 0.586 0.000

=====

Record 8
The following is a DFT calculation (PBE-GGA) of a relaxed CeB4Ir4 crystal.

Results
Calculated formation energy: -0.5618 eV/atom
Energy: -146.1 eV per cell

a b c (Å): 3.970 7.746 7.746
angles (deg): 90.00 90.00 90.00
Positions (direct):
Ce 0.250 0.250 0.250
Ce 0.750 0.750 0.750
B 0.360 0.909 0.029
B 0.360 0.591 0.471
B 0.860 0.529 0.091
B 0.860 0.971 0.409
B 0.640 0.091 0.971
B 0.640 0.409 0.529
B 0.140 0.471 0.909
B 0.140 0.029 0.591
Ir 0.139 0.412 0.642
Ir 0.139 0.088 0.858
Ir 0.639 0.142 0.588
Ir 0.639 0.358 0.912
Ir 0.861 0.588 0.358
Ir 0.861 0.912 0.142
Ir 0.361 0.858 0.412
Ir 0.361 0.642 0.088

=====

Record 9
The following is a DFT calculation (PBE-GGA) of a relaxed SbI2F6 crystal.

Results
Calculated formation energy: -2.0544 eV/atom
Energy: -68.8 eV per cell

a b c (Å): 6.205 8.264 8.347
angles (deg): 77.94 81.16 82.55
Positions (direct):
Sb 0.563 0.699 0.686
Sb 0.437 0.301 0.314
I 0.106 0.915 0.232
I 0.894 0.085 0.768
I 0.899 0.759 0.069
I 0.101 0.241 0.931
F 0.732 0.532 0.581
F 0.268 0.468 0.419
F 0.431 0.798 0.492
F 0.569 0.202 0.508
F 0.411 0.867 0.803
F 0.589 0.133 0.197
F 0.202 0.157 0.388
F 0.798 0.843 0.612
F 0.669 0.439 0.230
F 0.331 0.561 0.770
F 0.291 0.391 0.118
F 0.709 0.609 0.882

=====

Record 10
The following is a DFT calculation (PBE-GGA) of a relaxed ZnP4O11 crystal.

Results
Calculated formation energy: -2.4797 eV/atom
Energy: -437.8 eV per cell

a b c (Å): 22.635 5.444 7.552
angles (deg): 69.47 90.00 90.00
Positions (direct):
Zn 0.885 0.009 0.132
Zn 0.385 0.991 0.368
Zn 0.115 0.991 0.868
Zn 0.615 0.009 0.632
P 0.179 0.315 0.442
P 0.679 0.685 0.058
P 0.821 0.685 0.558
P 0.321 0.315 0.942
P 0.072 0.684 0.310
P 0.572 0.316 0.190
P 0.928 0.316 0.690
P 0.428 0.684 0.810
P 0.196 0.391 0.028
P 0.696 0.609 0.472
P 0.804 0.609 0.972
P 0.304 0.391 0.528
P 0.963 0.406 0.295
P 0.463 0.594 0.205
P 0.037 0.594 0.705
P 0.537 0.406 0.795
O 0.335 0.644 0.477
O 0.835 0.356 0.023
O 0.665 0.356 0.523
O 0.165 0.644 0.977
O 0.547 0.223 0.693
O 0.047 0.777 0.807
O 0.453 0.777 0.307
O 0.953 0.223 0.193
O 0.566 0.667 0.750
O 0.066 0.333 0.750
O 0.434 0.333 0.250
O 0.934 0.667 0.250
O 0.317 0.184 0.448
O 0.817 0.816 0.052
O 0.683 0.816 0.552
O 0.183 0.184 0.948
O 0.305 0.249 0.761
O 0.952 0.237 0.522
O 0.548 0.237 0.022
O 0.048 0.763 0.478
O 0.465 0.442 0.800
O 0.965 0.558 0.700
O 0.535 0.558 0.200
O 0.035 0.442 0.300
O 0.195 0.249 0.261
O 0.695 0.751 0.239
O 0.805 0.751 0.739
O 0.267 0.458 0.995
O 0.424 0.916 0.637
O 0.924 0.084 0.863
O 0.576 0.084 0.363
O 0.076 0.916 0.137
O 0.365 0.561 0.877
O 0.865 0.439 0.623
O 0.635 0.439 0.123
O 0.135 0.561 0.377
O 0.344 0.080 0.093
O 0.844 0.920 0.407
O 0.656 0.920 0.907
O 0.156 0.080 0.593
O 0.233 0.458 0.495
O 0.733 0.542 0.005
O 0.767 0.542 0.505
O 0.452 0.763 0.978

=====

Record 11
The following is a DFT calculation (PBE-GGA) of a relaxed SrZnP2O7 crystal.

Results
Calculated formation energy: -2.8465 eV/atom
Energy: -299.7 eV per cell

a b c (Å): 8.314 5.388 14.000
angles (deg): 67.59 90.00 90.00
Positions (direct):
Sr 0.661 0.009 0.279
Sr 0.161 0.991 0.221
Sr 0.339 0.991 0.721
Sr 0.839 0.009 0.779
Zn 0.653 0.723 0.605
Zn 0.347 0.277 0.395
Zn 0.153 0.277 0.895
Zn 0.847 0.723 0.105
P 0.964 0.417 0.334
P 0.036 0.583 0.666
P 0.802 0.335 0.980
P 0.198 0.665 0.020
P 0.302 0.665 0.520
P 0.698 0.335 0.480
P 0.536 0.417 0.834
P 0.464 0.583 0.166
O 0.404 0.728 0.600
O 0.385 0.681 0.051
O 0.880 0.680 0.266
O 0.314 0.887 0.411
O 0.640 0.519 0.152
O 0.059 0.808 0.705
O 0.904 0.272 0.900
O 0.615 0.319 0.949
O 0.332 0.378 0.525
O 0.186 0.887 0.911
O 0.168 0.378 0.025
O 0.360 0.481 0.848
O 0.941 0.192 0.295
O 0.620 0.680 0.766
O 0.596 0.272 0.400
O 0.115 0.681 0.551
O 0.380 0.320 0.234
O 0.686 0.113 0.589
O 0.814 0.113 0.089
O 0.140 0.481 0.348
O 0.120 0.320 0.734
O 0.860 0.519 0.652
O 0.096 0.728 0.100
O 0.885 0.319 0.449
O 0.668 0.622 0.475
O 0.559 0.192 0.795
O 0.441 0.808 0.205
O 0.832 0.622 0.975

=====

Record 12
The following is a DFT calculation (PBE-GGA) of a relaxed CsMg14W crystal.

Results
Calculated formation energy: 0.3325 eV/atom
Energy: -30.9 eV per cell

a b c (Å): 6.459 6.459 10.663
angles (deg): 90.00 90.00 120.00
Positions (direct):
Cs 0.167 0.333 0.125
Mg 0.177 0.839 0.125
Mg 0.156 0.828 0.625
Mg 0.661 0.323 0.125
Mg 0.672 0.344 0.625
Mg 0.661 0.839 0.125
Mg 0.672 0.828 0.625
Mg 0.332 0.168 0.407
Mg 0.332 0.168 0.843
Mg 0.332 0.664 0.407
Mg 0.332 0.664 0.843
Mg 0.836 0.168 0.407
Mg 0.836 0.168 0.843
Mg 0.833 0.667 0.367
Mg 0.833 0.667 0.883
W 0.167 0.333 0.625